Here is an optimized crystal structure of MgAlCrO4 from the Materials Project database. Energies are from PBE with a Hubbard U.

Calculated values
space group	P1
calculated volume	74.9	Å³/f.u.
polymorph energy (0 for the lowest one)	0.091	eV per atom
energy relative to the elements	-2.586	eV per atom

a b c (Å): 5.107 5.957 5.176
angles (deg): 103.53 74.81 150.49
Fractional coordinates of all 7 atoms:
O 0.143 0.501 0.643
O 0.798 0.475 0.321
O 0.813 0.003 0.193
O 0.188 0.996 0.801
Cr 0.612 0.520 0.081
Mg 0.802 0.012 0.801
Al 0.461 0.989 0.469

***

Here is an optimized crystal structure of MgAlCrO4 from the Materials Project database. Energies are from PBE with a Hubbard U.

Calculated values
space group	Pm
calculated volume	75.5	Å³/f.u.
polymorph energy (0 for the lowest one)	0.000	eV per atom
energy relative to the elements	-2.677	eV per atom

a b c (Å): 5.188 5.943 5.180
angles (deg): 77.52 104.34 150.81
Fractional coordinates of all 7 atoms:
Al 0.416 0.999 0.587
O 0.819 0.499 0.323
O 0.180 0.499 0.683
O 0.857 0.999 0.146
O 0.201 0.999 0.803
Mg 0.202 0.499 0.298
Cr 0.532 0.499 0.971

***

Here is an optimized crystal structure of NaAl3Cr2O14 from the Materials Project database. Energies are from PBE with a Hubbard U.

Calculated values
space group	R-3m
calculated volume	252.0	Å³/f.u.
energy relative to the elements	-1.855	eV per atom

a b c (Å): 7.109 7.109 7.109
angles (deg): 59.65 59.65 59.65
Fractional coordinates of all 20 atoms:
O 0.742 0.742 0.085
O 0.148 0.534 0.148
O 0.534 0.148 0.148
O 0.915 0.258 0.258
O 0.258 0.258 0.915
O 0.466 0.852 0.852
O 0.085 0.742 0.742
O 0.596 0.596 0.596
O 0.742 0.085 0.742
O 0.404 0.404 0.404
O 0.852 0.852 0.466
O 0.852 0.466 0.852
O 0.258 0.915 0.258
O 0.148 0.148 0.534
Al 0.000 0.000 0.500
Al 0.000 0.500 0.000
Al 0.500 0.000 0.000
Na 0.000 0.000 0.000
Cr 0.312 0.312 0.312
Cr 0.688 0.688 0.688

***

Here is an optimized crystal structure of NaAlCr2O10 from the Materials Project database. Energies are from PBE with a Hubbard U.

Calculated values
space group	C2/c
calculated volume	197.8	Å³/f.u.
energy relative to the elements	-1.503	eV per atom

a b c (Å): 7.621 7.621 10.916
angles (deg): 70.98 70.98 41.74
Fractional coordinates of all 28 atoms:
O 0.245 0.789 0.374
O 0.625 0.152 0.115
O 0.012 0.548 0.157
O 0.375 0.848 0.885
O 0.851 0.822 0.430
O 0.149 0.178 0.570
O 0.452 0.988 0.343
O 0.848 0.375 0.385
O 0.321 0.397 0.921
O 0.988 0.452 0.843
O 0.548 0.012 0.657
O 0.397 0.321 0.421
O 0.211 0.755 0.126
O 0.789 0.245 0.874
O 0.755 0.211 0.626
O 0.679 0.603 0.079
O 0.822 0.851 0.930
O 0.178 0.149 0.070
O 0.152 0.625 0.615
O 0.603 0.679 0.579
Cr 0.360 0.840 0.039
Cr 0.160 0.640 0.461
Cr 0.640 0.160 0.961
Cr 0.840 0.360 0.539
Na 0.784 0.216 0.250
Na 0.216 0.784 0.750
Al 0.500 0.000 0.500
Al 0.000 0.500 0.000

***

Here is an optimized crystal structure of Na2AlCrP4O14 from the Materials Project database. Energies are from PBE with a Hubbard U.

Calculated values
space group	P2_1
calculated volume	255.6	Å³/f.u.
energy relative to the elements	-2.776	eV per atom

a b c (Å): 7.914 7.308 9.501
angles (deg): 68.47 90.00 90.00
Fractional coordinates of all 44 atoms:
O 0.084 0.999 0.604
O 0.351 0.123 0.690
O 0.796 0.685 0.134
O 0.190 0.312 0.373
O 0.894 0.637 0.842
O 0.298 0.805 0.372
O 0.105 0.360 0.643
O 0.413 0.475 0.596
O 0.655 0.882 0.804
O 0.213 0.805 0.865
O 0.851 0.877 0.310
O 0.605 0.640 0.357
O 0.913 0.525 0.404
O 0.584 0.537 0.902
O 0.713 0.195 0.135
O 0.084 0.463 0.098
O 0.584 0.001 0.396
O 0.690 0.688 0.627
O 0.296 0.315 0.866
O 0.798 0.195 0.628
O 0.918 0.012 0.893
O 0.137 0.809 0.147
O 0.865 0.182 0.367
O 0.365 0.818 0.633
O 0.418 0.988 0.107
O 0.155 0.118 0.196
O 0.637 0.191 0.853
O 0.394 0.363 0.158
Al 0.990 0.262 0.501
Al 0.490 0.738 0.499
P 0.708 0.674 0.791
P 0.259 0.922 0.206
P 0.245 0.928 0.699
P 0.289 0.330 0.701
P 0.789 0.670 0.299
P 0.208 0.326 0.209
P 0.745 0.072 0.301
P 0.759 0.078 0.794
Cr 0.507 0.261 0.003
Cr 0.007 0.739 0.997
Na 0.521 0.291 0.455
Na 0.021 0.709 0.545
Na 0.979 0.290 0.956
Na 0.479 0.710 0.044

***

Here is an optimized crystal structure of Na4AlCr3P8O28 from the Materials Project database. Energies are from PBE with a Hubbard U.

Calculated values
space group	P1
calculated volume	518.0	Å³/f.u.
energy relative to the elements	-2.714	eV per atom

a b c (Å): 7.328 7.953 9.554
angles (deg): 90.09 111.51 90.11
Fractional coordinates of all 44 atoms:
P 0.924 0.744 0.546
P 0.327 0.792 0.542
P 0.078 0.241 0.957
P 0.076 0.253 0.452
P 0.927 0.758 0.048
P 0.669 0.208 0.453
P 0.673 0.289 0.956
P 0.327 0.713 0.047
Cr 0.739 0.994 0.753
Cr 0.261 0.494 0.748
Cr 0.739 0.506 0.252
O 0.012 0.414 0.358
O 0.537 0.415 0.848
O 0.011 0.083 0.858
O 0.194 0.202 0.122
O 0.635 0.393 0.401
O 0.464 0.915 0.652
O 0.989 0.584 0.641
O 0.119 0.652 0.056
O 0.120 0.846 0.556
O 0.636 0.105 0.902
O 0.812 0.863 0.607
O 0.363 0.607 0.594
O 0.685 0.200 0.617
O 0.813 0.639 0.108
O 0.878 0.152 0.441
O 0.359 0.896 0.105
O 0.312 0.810 0.379
O 0.882 0.345 0.946
O 0.805 0.712 0.380
O 0.185 0.133 0.386
O 0.526 0.085 0.346
O 0.686 0.298 0.119
O 0.315 0.704 0.883
O 0.464 0.586 0.153
O 0.001 0.917 0.145
O 0.196 0.286 0.618
O 0.190 0.363 0.896
O 0.807 0.790 0.882
Na 0.291 0.022 0.795
Na 0.710 0.522 0.705
Na 0.291 0.479 0.295
Na 0.709 0.978 0.205
Al 0.262 0.010 0.249